Record 1
A geometry-optimized PaO structure. Source: Materials Project, functional PBE.

energy of formation	-2.774	eV per atom
E	-9.66	eV/atom

a = 3.4916 Å, b = 3.4916 Å, c = 3.4916 Å
α = 60.00°, β = 60.00°, γ = 60.00°
Sites, in units of the cell vectors:
1 O 0.0000 0.0000 0.0000
2 Pa 0.5000 0.5000 0.5000



Record 2
A geometry-optimized PmPaO4 structure. Source: Materials Project, functional PBE.

energy of formation	-4.130	eV per atom
polymorph energy (0 for the lowest one)	0.004	eV/atom
E	-9.35	eV/atom

a = 3.8495 Å, b = 3.8495 Å, c = 5.5236 Å
α = 90.00°, β = 90.00°, γ = 90.00°
Sites, in units of the cell vectors:
1 Pa 0.5000 0.5000 0.5000
2 O 0.5000 0.0000 0.2668
3 O 0.0000 0.5000 0.2668
4 O 0.5000 0.0000 0.7332
5 O 0.0000 0.5000 0.7332
6 Pm 0.0000 0.0000 0.0000



Record 3
A geometry-optimized PmPaO4 structure. Source: Materials Project, functional PBE.

energy of formation	-4.135	eV per atom
polymorph energy (0 for the lowest one)	0.000	eV/atom
E	-9.35	eV/atom

a = 6.6779 Å, b = 6.6779 Å, c = 6.6779 Å
α = 131.48°, β = 131.48°, γ = 71.05°
Sites, in units of the cell vectors:
1 O 0.1424 0.1250 0.5174
2 O 0.1424 0.6250 0.0174
3 O 0.8750 0.8576 0.4826
4 O 0.3750 0.3924 0.5174
5 O 0.3750 0.8576 0.9826
6 O 0.6076 0.6250 0.4826
7 O 0.8750 0.3924 0.0174
8 O 0.6076 0.1250 0.9826
9 Pa 0.2500 0.7500 0.5000
10 Pa 0.5000 0.5000 0.0000
11 Pm 0.7500 0.2500 0.5000
12 Pm 0.0000 0.0000 0.0000